# PBE Cs2InBiCl6, optimized geometry
data_Cs2InBiCl6
_chemical_formula_sum 'Cs2 In1 Bi1 Cl6'
_cell_length_a 8.115
_cell_length_b 8.115
_cell_length_c 8.115
_cell_angle_alpha 60.00
_cell_angle_beta 60.00
_cell_angle_gamma 60.00
_symmetry_space_group_name_H-M 'P 1'
_symmetry_Int_Tables_number 1
_symmetry_space_group_name_Hall 'P 1'
loop_
_atom_site_label
_atom_site_fract_x
_atom_site_fract_y
_atom_site_fract_z
Cs1 0.250 0.250 0.250
Cs2 0.750 0.750 0.750
In1 0.000 0.000 0.000
Bi1 0.500 0.500 0.500
Cl1 0.262 0.262 0.738
Cl2 0.262 0.738 0.262
Cl3 0.262 0.738 0.738
Cl4 0.738 0.262 0.262
Cl5 0.738 0.262 0.738
Cl6 0.738 0.738 0.262
# total DFT energy (no corrections)	-33.6	eV per cell
# calculated formation energy	-1771.6	meV per atom
# mass density	3.53	g cm⁻³
# symmetry	Fm-3m

# PBE RbSrI3, optimized geometry
data_RbSrI3
_chemical_formula_sum 'Rb2 Sr2 I6'
_cell_length_a 8.405
_cell_length_b 8.405
_cell_length_c 12.275
_cell_angle_alpha 90.00
_cell_angle_beta 90.00
_cell_angle_gamma 146.36
_symmetry_space_group_name_H-M 'P 1'
_symmetry_Int_Tables_number 1
_symmetry_space_group_name_Hall 'P 1'
loop_
_atom_site_label
_atom_site_fract_x
_atom_site_fract_y
_atom_site_fract_z
Rb1 0.249 0.751 0.750
Rb2 0.751 0.249 0.250
Sr1 0.000 0.000 0.000
Sr2 0.000 0.000 0.500
I1 0.075 0.925 0.250
I2 0.365 0.635 0.055
I3 0.365 0.635 0.445
I4 0.635 0.365 0.555
I5 0.635 0.365 0.945
I6 0.925 0.075 0.750
# total DFT energy (no corrections)	-30.9	eV per cell
# calculated formation energy	-1869.4	meV per atom
# mass density	3.83	g cm⁻³
# symmetry	Cmcm